1.
Compound: LiFeP2H5O9
Source: the Materials Project
Functional: PBE+U
Structure: relaxed

Cell: 6.518 7.814 15.045 Å, 90.00 90.00 90.00°
Element x y z (fractional)
Li 0.744 0.729 0.529
Li 0.244 0.229 0.971
Li 0.756 0.729 0.029
Li 0.256 0.229 0.471
Fe 0.438 0.255 0.690
Fe 0.938 0.755 0.810
Fe 0.062 0.255 0.190
Fe 0.562 0.755 0.310
P 0.144 0.936 0.632
P 0.131 0.564 0.636
P 0.644 0.436 0.868
P 0.631 0.064 0.864
P 0.356 0.936 0.132
P 0.369 0.564 0.136
P 0.856 0.436 0.368
P 0.869 0.064 0.364
H 0.993 0.992 0.506
H 0.784 0.356 0.594
H 0.779 0.151 0.593
H 0.607 0.857 0.719
H 0.607 0.650 0.722
H 0.107 0.357 0.781
H 0.107 0.150 0.778
H 0.284 0.856 0.906
H 0.279 0.651 0.907
H 0.493 0.492 0.994
H 0.507 0.992 0.006
H 0.716 0.356 0.094
H 0.721 0.151 0.093
H 0.893 0.857 0.219
H 0.893 0.650 0.222
H 0.393 0.357 0.281
H 0.393 0.150 0.278
H 0.216 0.856 0.406
H 0.221 0.651 0.407
H 0.007 0.492 0.494
O 0.944 0.946 0.570
O 0.938 0.554 0.575
O 0.694 0.254 0.598
O 0.240 0.748 0.612
O 0.286 0.429 0.608
O 0.299 0.067 0.599
O 0.686 0.752 0.704
O 0.078 0.945 0.728
O 0.076 0.565 0.734
O 0.578 0.445 0.772
O 0.576 0.065 0.766
O 0.186 0.252 0.796
O 0.786 0.929 0.892
O 0.799 0.567 0.901
O 0.740 0.248 0.888
O 0.194 0.754 0.902
O 0.444 0.446 0.930
O 0.438 0.054 0.925
O 0.556 0.946 0.070
O 0.562 0.554 0.075
O 0.806 0.254 0.098
O 0.260 0.748 0.112
O 0.214 0.429 0.108
O 0.201 0.067 0.099
O 0.814 0.752 0.204
O 0.422 0.945 0.228
O 0.424 0.565 0.234
O 0.922 0.445 0.272
O 0.924 0.065 0.266
O 0.314 0.252 0.296
O 0.714 0.929 0.392
O 0.701 0.567 0.401
O 0.760 0.248 0.388
O 0.306 0.754 0.402
O 0.056 0.446 0.430
O 0.062 0.054 0.425

The energy of formation from the pure elements comes out at -1.98 eV per atom. The value obtained for the relative energy among the computed polymorphs is 0 meV per atom.


2.
Compound: Li2Cr2FeSbO8
Source: the Materials Project
Functional: PBE+U
Structure: relaxed

Cell: 5.989 9.668 10.337 Å, 90.13 90.18 90.08°
Element x y z (fractional)
Li 0.000 0.091 0.667
Li 0.999 0.001 0.997
Li 0.000 0.503 0.999
Li 0.001 0.589 0.334
Li 0.499 0.090 0.167
Li 0.501 0.590 0.834
Li 0.500 0.001 0.500
Li 0.500 0.503 0.500
Cr 0.001 0.280 0.171
Cr 0.755 0.279 0.415
Cr 0.743 0.779 0.083
Cr 0.501 0.278 0.670
Cr 0.499 0.780 0.330
Cr 0.257 0.279 0.915
Cr 0.243 0.779 0.586
Cr 0.246 0.279 0.415
Fe 0.999 0.777 0.828
Fe 0.752 0.778 0.588
Fe 0.747 0.278 0.915
Fe 0.255 0.779 0.082
Sb 0.002 0.505 0.667
Sb 0.998 0.006 0.333
Sb 0.501 0.505 0.168
Sb 0.498 0.005 0.833
O 0.997 0.883 0.670
O 0.000 0.150 0.482
O 0.000 0.690 0.994
O 0.999 0.188 0.999
O 0.005 0.397 0.833
O 0.997 0.898 0.165
O 0.000 0.384 0.334
O 0.004 0.647 0.519
O 0.778 0.150 0.259
O 0.782 0.647 0.745
O 0.749 0.898 0.417
O 0.749 0.398 0.583
O 0.750 0.897 0.915
O 0.752 0.398 0.086
O 0.719 0.146 0.757
O 0.722 0.651 0.241
O 0.497 0.885 0.165
O 0.496 0.146 0.982
O 0.501 0.689 0.501
O 0.496 0.897 0.666
O 0.504 0.384 0.835
O 0.500 0.186 0.499
O 0.504 0.646 0.019
O 0.501 0.397 0.335
O 0.278 0.151 0.759
O 0.279 0.647 0.242
O 0.246 0.897 0.914
O 0.249 0.398 0.083
O 0.250 0.898 0.417
O 0.254 0.398 0.583
O 0.221 0.149 0.259
O 0.221 0.652 0.743

The energy of formation from the pure elements comes out at -2.18 eV per atom. The value obtained for the relative energy among the computed polymorphs is 2 meV per atom.


3.
Compound: BaMoP2O8
Source: the Materials Project
Functional: PBE+U
Structure: relaxed

Cell: 4.974 5.002 7.978 Å, 86.30 86.82 64.65°
Element x y z (fractional)
Ba 0.000 0.000 0.000
Mo 0.000 0.000 0.500
P 0.364 0.368 0.288
P 0.636 0.632 0.712
O 0.757 0.293 0.690
O 0.693 0.687 0.889
O 0.243 0.707 0.310
O 0.225 0.241 0.432
O 0.775 0.759 0.568
O 0.710 0.220 0.312
O 0.307 0.313 0.111
O 0.290 0.780 0.688

The energy of formation from the pure elements comes out at -2.81 eV per atom.


4.
Compound: Ba2MgVFeO6
Source: the Materials Project
Functional: PBE+U
Structure: relaxed

Cell: 6.651 5.716 6.651 Å, 63.94 50.72 63.94°
Element x y z (fractional)
Ba 0.318 0.684 0.318
Ba 0.682 0.316 0.682
Mg 0.000 0.000 0.000
V 0.000 0.500 0.000
Fe 0.500 0.000 0.500
O 0.753 0.240 0.253
O 0.253 0.240 0.753
O 0.247 0.760 0.747
O 0.747 0.760 0.247
O 0.821 0.676 0.821
O 0.179 0.324 0.179

The energy of formation from the pure elements comes out at -2.48 eV per atom.